DFT (GGA-PBE) results for an optimized crystal structure of Hf5Pb.

Cell lengths 3.1981, 3.1981, 13.6335 Å; angles 90.00, 90.00, 90.00 degrees
Last column: nearest neighbours and their distance in Å.
Element x y z (fractional)
Hf (0.0000, 0.0000, 0.0000)  12 Hf 3.18-3.20
Hf (0.0000, 0.0000, 0.3211)  8 Hf 3.11-3.20, 4 Pb 3.33
Hf (0.0000, 0.0000, 0.6789)  8 Hf 3.11-3.20, 4 Pb 3.33
Hf (0.5000, 0.5000, 0.1641)  12 Hf 3.11-3.20
Hf (0.5000, 0.5000, 0.8359)  12 Hf 3.11-3.20
Pb (0.5000, 0.5000, 0.5000)  4 Pb 3.20, 8 Hf 3.33

Output
As for the space-group type: P4/mmm. The calculation puts the total energy at -8.880 eV per atom. Its crystal system is tetragonal.

DFT (GGA-PBE) results for an optimized crystal structure of HfPbS3.

Cell lengths 9.2625, 3.7745, 14.1975 Å; angles 90.00, 90.00, 90.00 degrees
Last column: nearest neighbours and their distance in Å.
Element x y z (fractional)
Hf (0.1626, 0.2500, 0.0483)  6 S 2.51-2.60
Hf (0.3374, 0.7500, 0.5483)  6 S 2.51-2.60
Hf (0.6626, 0.2500, 0.4517)  6 S 2.51-2.60
Hf (0.8374, 0.7500, 0.9517)  6 S 2.51-2.60
Pb (0.0303, 0.2500, 0.6712)  3 S 2.73-2.89
Pb (0.4697, 0.7500, 0.1712)  3 S 2.73-2.89
Pb (0.5303, 0.2500, 0.8288)  3 S 2.73-2.89
Pb (0.9697, 0.7500, 0.3288)  3 S 2.73-2.89
S (0.0104, 0.2500, 0.8966)  3 Hf 2.57-2.60
S (0.1743, 0.2500, 0.4906)  2 Hf 2.55
S (0.2346, 0.7500, 0.7116)  1 Hf 2.51, 2 Pb 2.73
S (0.2654, 0.2500, 0.2116)  1 Hf 2.51, 2 Pb 2.73
S (0.3257, 0.7500, 0.9906)  2 Hf 2.55
S (0.4896, 0.7500, 0.3966)  3 Hf 2.57-2.60
S (0.5104, 0.2500, 0.6034)  3 Hf 2.57-2.60
S (0.6743, 0.2500, 0.0094)  2 Hf 2.55
S (0.7346, 0.7500, 0.7884)  1 Hf 2.51, 2 Pb 2.73
S (0.7654, 0.2500, 0.2884)  1 Hf 2.51, 2 Pb 2.73
S (0.8257, 0.7500, 0.5094)  2 Hf 2.55
S (0.9896, 0.7500, 0.1034)  3 Hf 2.57-2.60

Output
As for the space-group type: Pnma. The calculation puts the energy with MP2020 corrections at -133.44 eV for the cell shown. Its crystal system is orthorhombic.

DFT (GGA-PBE) results for an optimized crystal structure of HfTl2PbSe4.

Cell lengths 9.1418, 9.1418, 7.1119 Å; angles 106.73, 106.73, 56.08 degrees
Last column: nearest neighbours and their distance in Å.
Element x y z (fractional)
Hf (0.1238, 0.8762, 0.7500)  6 Se 2.66-2.76
Hf (0.8762, 0.1238, 0.2500)  6 Se 2.66-2.76
Tl (0.1256, 0.3780, 0.7706)  6 Se 3.20-3.46
Tl (0.3780, 0.1256, 0.2706)  6 Se 3.20-3.46
Tl (0.6220, 0.8744, 0.7294)  6 Se 3.20-3.46
Tl (0.8744, 0.6220, 0.2294)  6 Se 3.20-3.46
Pb (0.3767, 0.6233, 0.2500)  6 Se 3.08-3.09
Pb (0.6233, 0.3767, 0.7500)  6 Se 3.08-3.09
Se (0.0043, 0.8011, 0.9961)  2 Hf 2.71-2.76
Se (0.1989, 0.9957, 0.5039)  2 Hf 2.71-2.76
Se (0.2332, 0.5520, 0.5355)  1 Hf 2.66
Se (0.4480, 0.7668, 0.9645)  1 Hf 2.66
Se (0.5520, 0.2332, 0.0355)  1 Hf 2.66
Se (0.7668, 0.4480, 0.4645)  1 Hf 2.66
Se (0.8011, 0.0043, 0.4961)  2 Hf 2.71-2.76
Se (0.9957, 0.1989, 0.0039)  2 Hf 2.71-2.76

Output
As for the space-group type: C2/c. The calculation puts the energy with MP2020 corrections at -81.61 eV for the cell shown. Its crystal system is monoclinic.

DFT (GGA-PBE) results for an optimized crystal structure of HfPd5.

Cell lengths 6.2518, 6.2518, 4.0391 Å; angles 90.00, 90.00, 142.50 degrees
Last column: nearest neighbours and their distance in Å.
Element x y z (fractional)
Hf (0.0000, 0.0000, 0.0000)  12 Pd 2.79-2.85
Pd (0.1664, 0.8336, 0.5000)  10 Pd 2.81-2.85, 2 Hf 2.82
Pd (0.3366, 0.6634, 0.0000)  2 Hf 2.79, 10 Pd 2.80-2.87
Pd (0.5000, 0.5000, 0.5000)  8 Pd 2.80-2.81, 4 Hf 2.85
Pd (0.6634, 0.3366, 0.0000)  2 Hf 2.79, 10 Pd 2.80-2.87
Pd (0.8336, 0.1664, 0.5000)  10 Pd 2.81-2.85, 2 Hf 2.82

Output
As for the space-group type: Cmmm. The calculation puts the excess energy over the best structure of this formula in the dataset at 0 meV per atom. Its crystal system is orthorhombic.

DFT (GGA-PBE) results for an optimized crystal structure of HfPd3.

Cell lengths 4.0173, 4.0173, 4.0173 Å; angles 90.00, 90.00, 90.00 degrees
Last column: nearest neighbours and their distance in Å.
Element x y z (fractional)
Hf (0.0000, 0.0000, 0.0000)  12 Pd 2.84
Pd (0.0000, 0.5000, 0.5000)  4 Hf 2.84, 8 Pd 2.84
Pd (0.5000, 0.0000, 0.5000)  4 Hf 2.84, 8 Pd 2.84
Pd (0.5000, 0.5000, 0.0000)  4 Hf 2.84, 8 Pd 2.84

Output
As for the space-group type: Pm-3m. The calculation puts the total energy at -7.243 eV per atom. Its crystal system is cubic.

DFT (GGA-PBE) results for an optimized crystal structure of HfPd3.

Cell lengths 5.6707, 5.6707, 9.3000 Å; angles 90.00, 90.00, 120.00 degrees
Last column: nearest neighbours and their distance in Å.
Element x y z (fractional)
Hf (0.0000, 0.0000, 0.0000)  12 Pd 2.84-2.86
Hf (0.0000, 0.0000, 0.5000)  12 Pd 2.84-2.86
Hf (0.3333, 0.6667, 0.2500)  12 Pd 2.84
Hf (0.6667, 0.3333, 0.7500)  12 Pd 2.84
Pd (0.0000, 0.5000, 0.0000)  8 Pd 2.84, 4 Hf 2.84
Pd (0.0000, 0.5000, 0.5000)  8 Pd 2.84, 4 Hf 2.84
Pd (0.1688, 0.3376, 0.7500)  8 Pd 2.80-2.87, 4 Hf 2.84-2.86
Pd (0.1688, 0.8312, 0.7500)  8 Pd 2.80-2.87, 4 Hf 2.84-2.86
Pd (0.3376, 0.1688, 0.2500)  8 Pd 2.80-2.87, 4 Hf 2.84-2.86
Pd (0.5000, 0.0000, 0.0000)  8 Pd 2.84, 4 Hf 2.84
Pd (0.5000, 0.0000, 0.5000)  8 Pd 2.84, 4 Hf 2.84
Pd (0.5000, 0.5000, 0.0000)  8 Pd 2.84, 4 Hf 2.84
Pd (0.5000, 0.5000, 0.5000)  8 Pd 2.84, 4 Hf 2.84
Pd (0.6624, 0.8312, 0.7500)  8 Pd 2.80-2.87, 4 Hf 2.84-2.86
Pd (0.8312, 0.1688, 0.2500)  8 Pd 2.80-2.87, 4 Hf 2.84-2.86
Pd (0.8312, 0.6624, 0.2500)  8 Pd 2.80-2.87, 4 Hf 2.84-2.86

Output
As for the space-group type: P6_3/mmc. The calculation puts the total energy at -7.257 eV per atom. Its crystal system is hexagonal.

DFT (GGA-PBE) results for an optimized crystal structure of Hf2RePd.

Cell lengths 4.6631, 4.6631, 4.6631 Å; angles 60.00, 60.00, 60.00 degrees
Last column: nearest neighbours and their distance in Å.
Element x y z (fractional)
Hf (0.2500, 0.2500, 0.2500)  4 Pd 2.86, 4 Re 2.86
Hf (0.7500, 0.7500, 0.7500)  4 Pd 2.86, 4 Re 2.86
Re (0.0000, 0.0000, 0.0000)  8 Hf 2.86
Pd (0.5000, 0.5000, 0.5000)  8 Hf 2.86

Output
As for the space-group type: Fm-3m. The calculation puts the total energy at -9.944 eV per atom. Its crystal system is cubic.

DFT (GGA-PBE) results for an optimized crystal structure of Hf2Sb3Pd.

Cell lengths 3.9476, 3.9476, 8.6152 Å; angles 90.00, 90.00, 90.00 degrees
Last column: nearest neighbours and their distance in Å.
Element x y z (fractional)
Hf (0.0000, 0.5000, 0.2392)  7 Sb 2.98-3.07, 2 Pd 2.99
Hf (0.5000, 0.0000, 0.7608)  7 Sb 2.98-3.07, 2 Pd 2.99
Sb (0.0000, 0.5000, 0.8823)  5 Hf 2.98-3.07
Sb (0.5000, 0.0000, 0.1177)  5 Hf 2.98-3.07
Sb (0.5000, 0.5000, 0.5000)  4 Pd 2.79, 4 Hf 2.99
Pd (0.0000, 0.0000, 0.5000)  4 Sb 2.79, 4 Hf 2.99

Output
As for the space-group type: P-4m2. The calculation puts the total energy at -6.740 eV per atom. Its crystal system is tetragonal.

DFT (GGA-PBE) results for an optimized crystal structure of Hf3Sb7Pd.

Cell lengths 17.5939, 3.9850, 14.7712 Å; angles 90.00, 90.00, 90.00 degrees
Last column: nearest neighbours and their distance in Å.
Element x y z (fractional)
Hf (0.1079, 0.2500, 0.0884)  8 Sb 2.98-3.19
Hf (0.1308, 0.2500, 0.5300)  8 Sb 2.97-3.03
Hf (0.1530, 0.2500, 0.8111)  9 Sb 3.00-3.19
Hf (0.3470, 0.7500, 0.3111)  9 Sb 3.00-3.19
Hf (0.3692, 0.7500, 0.0300)  8 Sb 2.97-3.03
Hf (0.3921, 0.7500, 0.5884)  8 Sb 2.98-3.19
Hf (0.6079, 0.2500, 0.4116)  8 Sb 2.98-3.19
Hf (0.6308, 0.2500, 0.9700)  8 Sb 2.97-3.03
Hf (0.6530, 0.2500, 0.6889)  9 Sb 3.00-3.19
Hf (0.8470, 0.7500, 0.1889)  9 Sb 3.00-3.19
Hf (0.8692, 0.7500, 0.4700)  8 Sb 2.97-3.03
Hf (0.8921, 0.7500, 0.9116)  8 Sb 2.98-3.19
Sb (0.0195, 0.7500, 0.1948)  2 Pd 2.74, 3 Hf 2.98-3.04
Sb (0.0366, 0.7500, 0.4303)  2 Pd 2.72, 3 Hf 2.98-3.00
Sb (0.0719, 0.7500, 0.9404)  5 Hf 3.03-3.19, 2 Sb 3.25
Sb (0.0949, 0.7500, 0.6762)  1 Pd 2.83, 4 Hf 3.00-3.01
Sb (0.2176, 0.2500, 0.3214)  1 Pd 2.68
Sb (0.2282, 0.7500, 0.1479)  4 Hf 3.03-3.19, 4 Sb 3.20-3.25
Sb (0.2490, 0.7500, 0.4803)  4 Hf 2.97-3.04, 4 Sb 3.13-3.20
Sb (0.2510, 0.2500, 0.9803)  4 Hf 2.97-3.04, 4 Sb 3.13-3.20
Sb (0.2718, 0.2500, 0.6479)  4 Hf 3.03-3.19, 4 Sb 3.20-3.25
Sb (0.2824, 0.7500, 0.8214)  1 Pd 2.68
Sb (0.4051, 0.2500, 0.1762)  1 Pd 2.83, 4 Hf 3.00-3.01
Sb (0.4281, 0.2500, 0.4404)  5 Hf 3.03-3.19, 2 Sb 3.25
Sb (0.4634, 0.2500, 0.9303)  2 Pd 2.72, 3 Hf 2.98-3.00
Sb (0.4805, 0.2500, 0.6948)  2 Pd 2.74, 3 Hf 2.98-3.04
Sb (0.5195, 0.7500, 0.3052)  2 Pd 2.74, 3 Hf 2.98-3.04
Sb (0.5366, 0.7500, 0.0697)  2 Pd 2.72, 3 Hf 2.98-3.00
Sb (0.5719, 0.7500, 0.5596)  5 Hf 3.03-3.19, 2 Sb 3.25
Sb (0.5949, 0.7500, 0.8238)  1 Pd 2.83, 4 Hf 3.00-3.01
Sb (0.7176, 0.2500, 0.1786)  1 Pd 2.68
Sb (0.7282, 0.7500, 0.3521)  4 Hf 3.03-3.19, 4 Sb 3.20-3.25
Sb (0.7490, 0.7500, 0.0197)  4 Hf 2.97-3.04, 4 Sb 3.13-3.20
Sb (0.7510, 0.2500, 0.5197)  4 Hf 2.97-3.04, 4 Sb 3.13-3.20
Sb (0.7718, 0.2500, 0.8521)  4 Hf 3.03-3.19, 4 Sb 3.20-3.25
Sb (0.7824, 0.7500, 0.6786)  1 Pd 2.68
Sb (0.9051, 0.2500, 0.3238)  1 Pd 2.83, 4 Hf 3.00-3.01
Sb (0.9281, 0.2500, 0.0596)  5 Hf 3.03-3.19, 2 Sb 3.25
Sb (0.9634, 0.2500, 0.5697)  2 Pd 2.72, 3 Hf 2.98-3.00
Sb (0.9805, 0.2500, 0.8052)  2 Pd 2.74, 3 Hf 2.98-3.04
Pd (0.0655, 0.2500, 0.3096)  6 Sb 2.68-2.83
Pd (0.4345, 0.7500, 0.8096)  6 Sb 2.68-2.83
Pd (0.5655, 0.2500, 0.1904)  6 Sb 2.68-2.83
Pd (0.9345, 0.7500, 0.6904)  6 Sb 2.68-2.83

Output
As for the space-group type: Pnma. The calculation puts the total energy at -6.242 eV per atom. Its crystal system is orthorhombic.